# Rb2BeF4

An optimized crystal structure of Rb2BeF4 (PBE, the Materials Project).

a = 7.7835 Å, b = 10.4883 Å, c = 5.9877 Å
α = 90.00°, β = 90.00°, γ = 90.00°
Closest atoms and distances in Å follow each position.
Space group Pna2_1 (No. 33)
Unique sites:
Rb (0.0026, 0.1892, 0.0000)  8 F 2.80-3.12
Rb (0.1615, 0.4122, 0.4965)  10 F 2.89-3.22
Be (0.2332, 0.0871, 0.4960)  4 F 1.56-1.59
F (0.0331, 0.0844, 0.4854)  1 Be 1.56
F (0.1876, 0.4475, 0.9936)  1 Be 1.59
F (0.1953, 0.6610, 0.7882)  1 Be 1.57
F (0.2054, 0.6547, 0.2167)  1 Be 1.57

Output
ΔH_f (0 K) ... -3.31 eV/atom